Entry 1:
Below is a relaxed CdIn2Se4 crystal, with properties calculated at the GGA-PBE level.

Cell lengths 8.186, 8.186, 8.186 Å; angles 60.00, 60.00, 60.00 degrees
Atoms (fractional coordinates):
Cd 0.500 0.500 0.500
Cd 0.750 0.750 0.750
In 0.625 0.125 0.125
In 0.125 0.125 0.125
In 0.125 0.625 0.125
In 0.125 0.125 0.625
Se 0.365 0.365 0.365
Se 0.346 0.885 0.885
Se 0.885 0.885 0.346
Se 0.885 0.346 0.885
Se 0.365 0.365 0.904
Se 0.365 0.904 0.365
Se 0.885 0.885 0.885
Se 0.904 0.365 0.365

Results
Symmetry: Fd-3m (227)
Formation energy from the elements (eV/atom): -0.8011
Calculated total energy (eV for the cell shown): -48.26

=====

Entry 2:
Below is a relaxed CdIn2Se4 crystal, with properties calculated at the GGA-PBE level.

Cell lengths 7.371, 7.371, 7.371 Å; angles 132.91, 132.91, 68.79 degrees
Atoms (fractional coordinates):
Cd 0.500 0.500 0.000
In 0.250 0.750 0.500
In 0.750 0.250 0.500
Se 0.342 0.892 0.000
Se 0.658 0.658 0.550
Se 0.892 0.342 0.000
Se 0.108 0.108 0.450

Results
Symmetry: I-42m (121)
Formation energy from the elements (eV/atom): -0.8391
Calculated total energy (eV for the cell shown): -24.40
Piezoelectric modulus e_max (C/m2): 0.2

=====

Entry 3:
Below is a relaxed Sm2CdIn crystal, with properties calculated at the GGA-PBE level.

Cell lengths 5.414, 5.414, 5.414 Å; angles 60.00, 60.00, 60.00 degrees
Atoms (fractional coordinates):
Sm 0.750 0.750 0.750
Sm 0.250 0.250 0.250
Cd 0.500 0.500 0.500
In 0.000 0.000 0.000

Results
Symmetry: Fm-3m (225)
Formation energy from the elements (eV/atom): -0.4161
Calculated total energy (eV for the cell shown): -14.78

=====

Entry 4:
Below is a relaxed SmCdIn crystal, with properties calculated at the GGA-PBE level.

Cell lengths 4.904, 4.904, 7.647 Å; angles 90.00, 90.00, 120.00 degrees
Atoms (fractional coordinates):
Sm 0.000 0.000 0.261
Sm 0.000 0.000 0.739
Cd 0.333 0.667 0.472
Cd 0.667 0.333 0.528
In 0.667 0.333 0.948
In 0.333 0.667 0.052

Results
Symmetry: P-3m1 (164)
Formation energy from the elements (eV/atom): -0.4163
Calculated total energy (eV for the cell shown): -19.28

=====

Entry 5:
Below is a relaxed Sr2CdIn crystal, with properties calculated at the GGA-PBE level.

Cell lengths 5.771, 5.771, 5.771 Å; angles 60.00, 60.00, 60.00 degrees
Atoms (fractional coordinates):
Sr 0.250 0.250 0.250
Sr 0.750 0.750 0.750
Cd 0.500 0.500 0.500
In 0.000 0.000 0.000

Results
Symmetry: Fm-3m (225)
Formation energy from the elements (eV/atom): -0.3918
Calculated total energy (eV for the cell shown): -8.62

=====

Entry 6:
Below is a relaxed Tm2CdIn crystal, with properties calculated at the GGA-PBE level.

Cell lengths 5.243, 5.243, 5.243 Å; angles 60.00, 60.00, 60.00 degrees
Atoms (fractional coordinates):
Tm 0.750 0.750 0.750
Tm 0.250 0.250 0.250
Cd 0.500 0.500 0.500
In 0.000 0.000 0.000

Results
Symmetry: Fm-3m (225)
Formation energy from the elements (eV/atom): -0.3768
Calculated total energy (eV for the cell shown): -14.13

=====

Entry 7:
Below is a relaxed Cd3Ir crystal, with properties calculated at the GGA-PBE level.

Cell lengths 4.217, 4.217, 4.217 Å; angles 90.00, 90.00, 90.00 degrees
Atoms (fractional coordinates):
Cd 0.000 0.500 0.500
Cd 0.500 0.000 0.500
Cd 0.500 0.500 0.000
Ir 0.000 0.000 0.000

Results
Symmetry: Pm-3m (221)
Formation energy from the elements (eV/atom): 0.0909
Calculated total energy (eV for the cell shown): -11.24

=====

Entry 8:
Below is a relaxed Cd3Ir crystal, with properties calculated at the GGA-PBE level.

Cell lengths 5.285, 5.285, 5.285 Å; angles 134.11, 134.11, 66.92 degrees
Atoms (fractional coordinates):
Cd 0.750 0.250 0.500
Cd 0.250 0.750 0.500
Cd 0.500 0.500 0.000
Ir 0.000 0.000 0.000

Results
Symmetry: I4/mmm (139)
Formation energy from the elements (eV/atom): 0.0917
Calculated total energy (eV for the cell shown): -11.24

=====

Entry 9:
Below is a relaxed Cd41Ir8 crystal, with properties calculated at the GGA-PBE level.

Cell lengths 10.278, 10.278, 10.278 Å; angles 94.78, 94.78, 94.78 degrees
Atoms (fractional coordinates):
Cd 0.000 0.000 0.000
Cd 0.500 0.500 0.500
Cd 0.000 0.500 0.500
Cd 0.500 0.000 0.500
Cd 0.500 0.500 0.000
Cd 0.777 0.450 0.074
Cd 0.074 0.777 0.450
Cd 0.450 0.074 0.777
Cd 0.223 0.550 0.926
Cd 0.926 0.223 0.550
Cd 0.550 0.926 0.223
Cd 0.731 0.049 0.870
Cd 0.870 0.731 0.049
Cd 0.049 0.870 0.731
Cd 0.269 0.951 0.130
Cd 0.130 0.269 0.951
Cd 0.951 0.130 0.269
Cd 0.682 0.178 0.127
Cd 0.127 0.682 0.178
Cd 0.178 0.127 0.682
Cd 0.318 0.822 0.873
Cd 0.873 0.318 0.822
Cd 0.822 0.873 0.318
Cd 0.389 0.364 0.739
Cd 0.739 0.389 0.364
Cd 0.364 0.739 0.389
Cd 0.611 0.636 0.261
Cd 0.261 0.611 0.636
Cd 0.636 0.261 0.611
Cd 0.966 0.596 0.784
Cd 0.784 0.966 0.596
Cd 0.596 0.784 0.966
Cd 0.034 0.404 0.216
Cd 0.216 0.034 0.404
Cd 0.404 0.216 0.034
Cd 0.670 0.537 0.776
Cd 0.776 0.670 0.537
Cd 0.537 0.776 0.670
Cd 0.330 0.463 0.224
Cd 0.224 0.330 0.463
Cd 0.463 0.224 0.330
Ir 0.617 0.286 0.889
Ir 0.889 0.617 0.286
Ir 0.286 0.889 0.617
Ir 0.383 0.714 0.111
Ir 0.111 0.383 0.714
Ir 0.714 0.111 0.383
Ir 0.805 0.805 0.805
Ir 0.195 0.195 0.195

Results
Symmetry: R-3 (148)
Formation energy from the elements (eV/atom): -0.0586
Calculated total energy (eV for the cell shown): -111.42

=====

Entry 10:
Below is a relaxed La23Cd4Ir7 crystal, with properties calculated at the GGA-PBE level.

Cell lengths 10.187, 10.187, 23.092 Å; angles 90.00, 90.00, 120.00 degrees
Atoms (fractional coordinates):
La 0.207 0.414 0.719
La 0.207 0.793 0.719
La 0.793 0.586 0.219
La 0.586 0.793 0.719
La 0.793 0.207 0.219
La 0.414 0.207 0.219
La 0.793 0.586 0.948
La 0.793 0.207 0.948
La 0.207 0.414 0.448
La 0.414 0.207 0.948
La 0.207 0.793 0.448
La 0.586 0.793 0.448
La 0.208 0.417 0.990
La 0.208 0.792 0.990
La 0.792 0.583 0.490
La 0.583 0.792 0.990
La 0.792 0.208 0.490
La 0.417 0.208 0.490
La 0.872 0.744 0.635
La 0.872 0.128 0.635
La 0.128 0.256 0.135
La 0.256 0.128 0.635
La 0.128 0.872 0.135
La 0.744 0.872 0.135
La 0.460 0.921 0.856
La 0.460 0.540 0.856
La 0.540 0.079 0.356
La 0.079 0.540 0.856
La 0.540 0.460 0.356
La 0.921 0.460 0.356
La 0.000 0.000 0.000
La 0.000 0.000 0.500
La 0.460 0.920 0.586
La 0.460 0.540 0.586
La 0.540 0.080 0.086
La 0.080 0.540 0.586
La 0.540 0.460 0.086
La 0.920 0.460 0.086
La 0.796 0.592 0.782
La 0.796 0.204 0.782
La 0.204 0.408 0.282
La 0.408 0.204 0.782
La 0.204 0.796 0.282
La 0.592 0.796 0.282
La 0.667 0.333 0.646
La 0.333 0.667 0.146
Cd 0.000 0.000 0.750
Cd 0.000 0.000 0.250
Cd 0.106 0.212 0.863
Cd 0.106 0.894 0.863
Cd 0.894 0.788 0.363
Cd 0.788 0.894 0.863
Cd 0.894 0.106 0.363
Cd 0.212 0.106 0.363
Ir 0.520 0.040 0.711
Ir 0.520 0.480 0.711
Ir 0.480 0.960 0.211
Ir 0.960 0.480 0.711
Ir 0.480 0.520 0.211
Ir 0.040 0.520 0.211
Ir 0.667 0.333 0.866
Ir 0.333 0.667 0.366
Ir 0.144 0.289 0.563
Ir 0.144 0.856 0.563
Ir 0.856 0.711 0.063
Ir 0.711 0.856 0.563
Ir 0.856 0.144 0.063
Ir 0.289 0.144 0.063

Results
Symmetry: P6_3mc (186)
Formation energy from the elements (eV/atom): -0.5109
Calculated total energy (eV for the cell shown): -392.92

=====

Entry 11:
Below is a relaxed La4CdIr crystal, with properties calculated at the GGA-PBE level.

Cell lengths 10.117, 10.117, 10.117 Å; angles 60.00, 60.00, 60.00 degrees
Atoms (fractional coordinates):
La 0.598 0.598 0.598
La 0.598 0.598 0.207
La 0.598 0.207 0.598
La 0.207 0.598 0.598
La 0.061 0.439 0.439
La 0.439 0.061 0.061
La 0.439 0.061 0.439
La 0.061 0.439 0.061
La 0.439 0.439 0.061
La 0.061 0.061 0.439
La 0.189 0.811 0.811
La 0.811 0.189 0.189
La 0.811 0.189 0.811
La 0.189 0.811 0.189
La 0.811 0.811 0.189
La 0.189 0.189 0.811
Cd 0.831 0.831 0.831
Cd 0.831 0.831 0.507
Cd 0.831 0.507 0.831
Cd 0.507 0.831 0.831
Ir 0.392 0.392 0.392
Ir 0.392 0.392 0.825
Ir 0.392 0.825 0.392
Ir 0.825 0.392 0.392

Results
Symmetry: F-43m (216)
Formation energy from the elements (eV/atom): -0.4684
Calculated total energy (eV for the cell shown): -129.26

=====

Entry 12:
Below is a relaxed Na3Cd2IrO6 crystal, with properties calculated at the GGA-PBE level.

Cell lengths 5.777, 5.777, 5.740 Å; angles 79.97, 79.97, 119.80 degrees
Atoms (fractional coordinates):
Na 0.500 0.500 0.500
Na 0.164 0.836 0.500
Na 0.836 0.164 0.500
Cd 0.333 0.667 0.000
Cd 0.667 0.333 0.000
Ir 0.000 0.000 0.000
O 0.219 0.219 0.205
O 0.781 0.781 0.795
O 0.641 0.930 0.215
O 0.070 0.359 0.785
O 0.930 0.641 0.215
O 0.359 0.070 0.785

Results
Symmetry: C2/m (12)
Formation energy from the elements (eV/atom): -1.5418
Calculated total energy (eV for the cell shown): -58.72